Record 1
# Sc6Ni16Ge7 PBE-GGA relaxed
# Energy in eV/atom: -6.2209
data_Sc6Ni16Ge7
_cell_length_a 11.631
_cell_length_b 11.631
_cell_length_c 11.631
_cell_angle_alpha 90.00
_cell_angle_beta 90.00
_cell_angle_gamma 90.00
_symmetry_space_group_name_H-M 'F m -3 m'
_symmetry_Int_Tables_number 225
_symmetry_space_group_name_Hall '-F 4 2 3'
loop_
_atom_site_label
_atom_site_fract_x
_atom_site_fract_y
_atom_site_fract_z
Sc1 0.000 0.000 0.207
Ni1 0.119 0.119 0.381
Ni2 0.169 0.169 0.169
Ge1 0.000 0.000 0.500
Ge2 0.000 0.250 0.250

---

Record 2
# Sc3Ni11Ge4 PBE-GGA relaxed
# Relative energy among the computed polymorphs in meV per atom: 35
# Energy in eV/atom: -6.0925
data_Sc3Ni11Ge4
_cell_length_a 8.0742
_cell_length_b 8.0742
_cell_length_c 8.4293
_cell_angle_alpha 90.00
_cell_angle_beta 90.00
_cell_angle_gamma 120.00
_symmetry_space_group_name_H-M 'P 63/m m c'
_symmetry_Int_Tables_number 194
_symmetry_space_group_name_Hall '-P 6c 2c'
loop_
_atom_site_label
_atom_site_fract_x
_atom_site_fract_y
_atom_site_fract_z
Sc1 0.1967 0.3934 0.2500
Ni1 0.1281 0.5641 0.7500
Ni2 0.1541 0.3081 0.5933
Ni3 0.3333 0.6667 0.0052
Ge1 0.0000 0.0000 0.2500
Ge2 0.0000 0.5000 0.0000

---

Record 3
# ScNi6Ge6 PBE-GGA relaxed
# Energy in eV/atom: -5.6871
data_ScNi6Ge6
_cell_length_a 10.2123
_cell_length_b 10.2123
_cell_length_c 7.8256
_cell_angle_alpha 90.00
_cell_angle_beta 90.00
_cell_angle_gamma 120.00
_symmetry_space_group_name_H-M 'P 6/m m m'
_symmetry_Int_Tables_number 191
_symmetry_space_group_name_Hall '-P 6 2'
loop_
_atom_site_label
_atom_site_fract_x
_atom_site_fract_y
_atom_site_fract_z
Sc1 0.0000 0.0000 0.0000
Sc2 0.0000 0.5000 0.5000
Ni1 0.0000 0.2497 0.2527
Ni2 0.2499 0.4999 0.2482
Ge1 0.0000 0.0000 0.3421
Ge2 0.0000 0.5000 0.1596
Ge3 0.1661 0.3323 0.0000
Ge4 0.1677 0.3354 0.5000
Ge5 0.3333 0.6667 0.0000
Ge6 0.3333 0.6667 0.5000

---

Record 4
# SmNiGe3 PBE-GGA relaxed
# Energy in eV/atom: -5.4714
data_SmNiGe3
_cell_length_a 4.139
_cell_length_b 21.826
_cell_length_c 4.143
_cell_angle_alpha 90.00
_cell_angle_beta 90.00
_cell_angle_gamma 90.00
_symmetry_space_group_name_H-M 'C m m m'
_symmetry_Int_Tables_number 65
_symmetry_space_group_name_Hall '-C 2 2'
loop_
_atom_site_label
_atom_site_fract_x
_atom_site_fract_y
_atom_site_fract_z
Sm1 0.000 0.169 0.000
Ni1 0.000 0.390 0.500
Ge1 0.000 0.057 0.500
Ge2 0.000 0.284 0.500
Ge3 0.000 0.443 0.000

---

Record 5
# Sm3NiGe2 PBE-GGA relaxed
# Energy in eV/atom: -5.6116
data_Sm3NiGe2
_cell_length_a 11.650
_cell_length_b 4.259
_cell_length_c 11.464
_cell_angle_alpha 90.00
_cell_angle_beta 90.00
_cell_angle_gamma 90.00
_symmetry_space_group_name_H-M 'P n m a'
_symmetry_Int_Tables_number 62
_symmetry_space_group_name_Hall '-P 2ac 2n'
loop_
_atom_site_label
_atom_site_fract_x
_atom_site_fract_y
_atom_site_fract_z
Sm1 0.058 0.250 0.126
Sm2 0.119 0.750 0.559
Sm3 0.214 0.250 0.803
Ni1 0.129 0.250 0.366
Ge1 0.025 0.750 0.314
Ge2 0.196 0.750 0.996

---

Record 6
# SmNiGe2 PBE-GGA relaxed
# Energy in eV/atom: -5.6727
data_SmNiGe2
_cell_length_a 4.183
_cell_length_b 16.723
_cell_length_c 4.228
_cell_angle_alpha 90.00
_cell_angle_beta 90.00
_cell_angle_gamma 90.00
_symmetry_space_group_name_H-M 'C m c m'
_symmetry_Int_Tables_number 63
_symmetry_space_group_name_Hall '-C 2c 2'
loop_
_atom_site_label
_atom_site_fract_x
_atom_site_fract_y
_atom_site_fract_z
Sm1 0.000 0.108 0.250
Ni1 0.000 0.319 0.250
Ge1 0.000 0.251 0.750
Ge2 0.000 0.458 0.250

---

Record 7
# SmNi2Ge2 PBE-GGA relaxed
# Energy in eV/atom: -5.8047
data_SmNi2Ge2
_cell_length_a 4.114
_cell_length_b 4.114
_cell_length_c 9.841
_cell_angle_alpha 90.00
_cell_angle_beta 90.00
_cell_angle_gamma 90.00
_symmetry_space_group_name_H-M 'I 4/m m m'
_symmetry_Int_Tables_number 139
_symmetry_space_group_name_Hall '-I 4 2'
loop_
_atom_site_label
_atom_site_fract_x
_atom_site_fract_y
_atom_site_fract_z
Sm1 0.000 0.000 0.000
Ni1 0.000 0.500 0.250
Ge1 0.000 0.000 0.370

---

Record 8
# SrNi2Ge2 PBE-GGA relaxed
# Energy in eV/atom: -5.0091
data_SrNi2Ge2
_cell_length_a 4.193
_cell_length_b 4.193
_cell_length_c 10.299
_cell_angle_alpha 90.00
_cell_angle_beta 90.00
_cell_angle_gamma 90.00
_symmetry_space_group_name_H-M 'I 4/m m m'
_symmetry_Int_Tables_number 139
_symmetry_space_group_name_Hall '-I 4 2'
loop_
_atom_site_label
_atom_site_fract_x
_atom_site_fract_y
_atom_site_fract_z
Sr1 0.000 0.000 0.000
Ni1 0.000 0.500 0.250
Ge1 0.000 0.000 0.360

---

Record 9
# SrNi2Ge PBE-GGA relaxed
# Energy in eV/atom: -4.8873
data_SrNi2Ge
_cell_length_a 4.1307
_cell_length_b 4.1307
_cell_length_c 10.4997
_cell_angle_alpha 90.00
_cell_angle_beta 90.00
_cell_angle_gamma 120.00
_symmetry_space_group_name_H-M 'P 63/m m c'
_symmetry_Int_Tables_number 194
_symmetry_space_group_name_Hall '-P 6c 2c'
loop_
_atom_site_label
_atom_site_fract_x
_atom_site_fract_y
_atom_site_fract_z
Sr1 0.3333 0.6667 0.2500
Ni1 0.3333 0.6667 0.5346
Ge1 0.0000 0.0000 0.0000

---

Record 10
# SrNiGe2 PBE-GGA relaxed
# Energy in eV/atom: -4.6985
data_SrNiGe2
_cell_length_a 4.435
_cell_length_b 17.354
_cell_length_c 4.206
_cell_angle_alpha 90.00
_cell_angle_beta 90.00
_cell_angle_gamma 90.00
_symmetry_space_group_name_H-M 'C m c m'
_symmetry_Int_Tables_number 63
_symmetry_space_group_name_Hall '-C 2c 2'
loop_
_atom_site_label
_atom_site_fract_x
_atom_site_fract_y
_atom_site_fract_z
Sr1 0.000 0.108 0.250
Ni1 0.000 0.319 0.250
Ge1 0.000 0.250 0.750
Ge2 0.000 0.456 0.250

---

Record 11
# TaNiGe PBE-GGA relaxed
# Energy in eV/atom: -7.8478
data_TaNiGe
_cell_length_a 6.298
_cell_length_b 3.774
_cell_length_c 7.220
_cell_angle_alpha 90.00
_cell_angle_beta 90.00
_cell_angle_gamma 90.00
_symmetry_space_group_name_H-M 'P n m a'
_symmetry_Int_Tables_number 62
_symmetry_space_group_name_Hall '-P 2ac 2n'
loop_
_atom_site_label
_atom_site_fract_x
_atom_site_fract_y
_atom_site_fract_z
Ta1 0.017 0.250 0.176
Ni1 0.161 0.250 0.571
Ge1 0.217 0.750 0.384

---

Record 12
# Tb4Ni3Ge8 PBE-GGA relaxed
# Energy in eV/atom: -5.5545
data_Tb4Ni3Ge8
_cell_length_a 4.110
_cell_length_b 4.117
_cell_length_c 16.650
_cell_angle_alpha 90.00
_cell_angle_beta 90.00
_cell_angle_gamma 90.00
_symmetry_space_group_name_H-M 'P m m 2'
_symmetry_Int_Tables_number 25
_symmetry_space_group_name_Hall 'P 2 -2'
loop_
_atom_site_label
_atom_site_fract_x
_atom_site_fract_y
_atom_site_fract_z
Tb1 0.000 0.000 0.000
Tb2 0.000 0.500 0.497
Tb3 0.500 0.000 0.212
Tb4 0.500 0.500 0.715
Ni1 0.000 0.000 0.787
Ni2 0.000 0.500 0.291
Ni3 0.500 0.500 0.929
Ge1 0.000 0.000 0.363
Ge2 0.000 0.000 0.649
Ge3 0.000 0.500 0.152
Ge4 0.000 0.500 0.859
Ge5 0.500 0.000 0.557
Ge6 0.500 0.000 0.856
Ge7 0.500 0.500 0.066
Ge8 0.500 0.500 0.363

---

no.,formation energy from the elements (eV/atom)
1,-0.606
2,-0.477
3,-0.399
4,-0.598
5,-0.748
6,-0.737
7,-0.700
8,-0.510
9,-0.419
10,-0.520
11,-0.427
12,-0.697